i.
This record from Materials Project describes a relaxed Rb4CeH12C3O17 crystal. The functional is PBE-GGA.

Unit cell a=9.5398 b=11.6649 c=12.2909 alpha=61.95 beta=68.43 gamma=74.93
Closest atoms and distances in Å follow each position.
Fractional coordinates of all 74 atoms:
Rb (0.2970, 0.6342, 0.0704)  1 O 2.53, 1 H 2.78
Rb (0.7030, 0.3658, 0.9296)  1 O 2.53, 1 H 2.78
Rb (0.2946, 0.9454, 0.5332)  4 O 2.73-2.97
Rb (0.7054, 0.0546, 0.4668)  4 O 2.73-2.97
Rb (0.1903, 0.8851, 0.2453)  2 O 2.70-2.97, 1 H 2.81
Rb (0.8097, 0.1149, 0.7547)  2 O 2.70-2.97, 1 H 2.81
Rb (0.7760, 0.5106, 0.1720)  2 O 2.72-2.84, 3 H 2.91-3.02
Rb (0.2240, 0.4894, 0.8280)  2 O 2.72-2.84, 3 H 2.91-3.02
Ce (0.8598, 0.6709, 0.5129)  1 O 1.89
Ce (0.1403, 0.3291, 0.4871)  1 O 1.89
H (0.4960, 0.7539, 0.0917)  1 H 0.75
H (0.4894, 0.9814, 0.2328)  1 O 0.98
H (0.5504, 0.8696, 0.8034)  1 O 0.97
H (0.7160, 0.6294, 0.9180)  3 O 2.78-3.09, 2 H 2.82-3.02, 2 Rb 2.97-3.04, 1 C 3.02
H (0.2840, 0.3706, 0.0820)  3 O 2.78-3.09, 2 H 2.82-3.02, 2 Rb 2.97-3.04, 1 C 3.02
H (0.9796, 0.7107, 0.9928)  1 H 0.78
H (0.5106, 0.0186, 0.7672)  1 O 0.98
H (0.1965, 0.9902, 0.9395)  1 O 0.98
H (0.9977, 0.4553, 0.6610)  1 O 0.99
H (0.5273, 0.7354, 0.1460)  1 H 0.75
H (0.0645, 0.9160, 0.9689)  1 O 0.98
H (0.0562, 0.6754, 0.9658)  1 H 0.78
H (0.4040, 0.6935, 0.4475)  1 O 0.97
H (0.5960, 0.3065, 0.5525)  1 O 0.97
H (0.9139, 0.8871, 0.7121)  1 O 0.98
H (0.9355, 0.0840, 0.0311)  1 O 0.98
H (0.0204, 0.2893, 0.0072)  1 H 0.78
H (0.9438, 0.3246, 0.0342)  1 H 0.78
H (0.5040, 0.2461, 0.9083)  1 H 0.75
H (0.0861, 0.1129, 0.2879)  1 O 0.98
H (0.8035, 0.0098, 0.0605)  1 O 0.98
H (0.0023, 0.5447, 0.3390)  1 O 0.99
H (0.4727, 0.2646, 0.8540)  1 H 0.75
H (0.4496, 0.1304, 0.1966)  1 O 0.97
C (0.0467, 0.2523, 0.3346)  3 O 1.27-1.35
C (0.4491, 0.3197, 0.3303)  3 O 1.27-1.38
C (0.9533, 0.7477, 0.6654)  3 O 1.27-1.35
C (0.2983, 0.2397, 0.7089)  2 O 1.17-1.19
C (0.7017, 0.7603, 0.2911)  2 O 1.17-1.19
C (0.5509, 0.6803, 0.6697)  3 O 1.27-1.38
O (0.6864, 0.8623, 0.2064)  1 C 1.17
O (0.9590, 0.6238, 0.7078)  1 C 1.28
O (0.9502, 0.7943, 0.7481)  1 H 0.98
O (0.0410, 0.3762, 0.2922)  1 C 1.28
O (0.9409, 0.3845, 0.6810)  1 H 0.99
O (0.0498, 0.2057, 0.2519)  1 H 0.98
O (0.6229, 0.5667, 0.6953)  1 C 1.27
O (0.3453, 0.7781, 0.4221)  1 H 0.97
O (0.6499, 0.3214, 0.1626)  1 O 1.49
O (0.6547, 0.2219, 0.5779)  1 H 0.97
O (0.1863, 0.1768, 0.0242)  1 H 1.78
O (0.8485, 0.8270, 0.3640)  1 Ce 1.89
O (0.3136, 0.1377, 0.7936)  1 C 1.17
O (0.4110, 0.0462, 0.2549)  2 H 0.97-0.98
O (0.2908, 0.3516, 0.6352)  1 C 1.19
O (0.6154, 0.7845, 0.6049)  1 C 1.27
O (0.9464, 0.8280, 0.5526)  1 C 1.27
O (0.1515, 0.1730, 0.6360)  1 Ce 1.89
O (0.0591, 0.6155, 0.3190)  1 H 0.99
O (0.8488, 0.0918, 0.0027)  2 H 0.98
O (0.3846, 0.2155, 0.3951)  1 C 1.27
O (0.1122, 0.5761, 0.4317)  1 O 1.48
O (0.8878, 0.4239, 0.5683)  1 O 1.48
O (0.6051, 0.3073, 0.2973)  1 C 1.38, 1 O 1.49
O (0.7092, 0.6484, 0.3648)  1 C 1.19
O (0.1512, 0.9082, 0.9973)  2 H 0.98
O (0.3501, 0.6786, 0.8374)  1 O 1.49
O (0.4353, 0.9929, 0.0027)  1 O 1.26
O (0.5647, 0.0071, 0.9973)  1 O 1.26
O (0.5890, 0.9538, 0.7451)  2 H 0.97-0.98
O (0.3949, 0.6927, 0.7027)  1 C 1.38, 1 O 1.49
O (0.3771, 0.4333, 0.3047)  1 C 1.27
O (0.0536, 0.1720, 0.4474)  1 C 1.27
O (0.8137, 0.8232, 0.9758)  1 H 1.78

Summary:
Total moment (Bohr magnetons per cell): 6.00
Space group: P-1 (2)

ii.
This record from Materials Project describes a relaxed Rb4CeH12C3O17 crystal. The functional is PBE-GGA.

Unit cell a=9.3754 b=11.9146 c=11.7972 alpha=59.79 beta=74.46 gamma=79.02
Closest atoms and distances in Å follow each position.
Fractional coordinates of all 74 atoms:
Rb (0.2753, 0.6519, 0.0794)  3 O 2.80-2.91, 4 H 2.82-3.13
Rb (0.7247, 0.3481, 0.9206)  3 O 2.80-2.91, 4 H 2.82-3.13
Rb (0.2885, 0.9677, 0.5679)  6 O 2.84-2.99
Rb (0.7115, 0.0323, 0.4321)  6 O 2.84-2.99
Rb (0.1473, 0.9209, 0.2515)  7 O 2.87-3.20, 1 H 3.06
Rb (0.8527, 0.0791, 0.7485)  7 O 2.87-3.20, 1 H 3.06
Rb (0.7314, 0.4869, 0.3056)  2 O 2.76-2.80, 2 H 2.80-2.95
Rb (0.2686, 0.5131, 0.6944)  2 O 2.76-2.80, 2 H 2.80-2.95
Ce (0.8827, 0.6143, 0.5423)  1 H 2.30, 7 O 2.34-2.47
Ce (0.1173, 0.3857, 0.4577)  1 H 2.30, 7 O 2.34-2.47
H (0.5339, 0.7316, 0.1092)  1 H 0.75
H (0.5177, 0.9540, 0.2624)  1 O 1.01
H (0.4965, 0.8302, 0.8002)  2 O 1.16-1.30
H (0.6929, 0.5982, 0.9736)  2 H 2.60-2.77, 1 O 2.88
H (0.3071, 0.4018, 0.0264)  2 H 2.60-2.77, 1 O 2.88
H (0.9482, 0.7053, 0.0370)  1 O 0.97
H (0.4823, 0.0460, 0.7376)  1 O 1.01
H (0.2093, 0.9877, 0.9200)  1 O 1.00
H (0.9599, 0.5060, 0.7433)  1 Ce 2.30, 1 O 2.53
H (0.5465, 0.7465, 0.1604)  1 H 0.75
H (0.0741, 0.8986, 0.9840)  1 O 0.98
H (0.9674, 0.7927, 0.8789)  1 O 1.00
H (0.4299, 0.7063, 0.4356)  2 H 2.74-2.95, 3 O 2.77-2.89, 1 Rb 2.95
H (0.5701, 0.2937, 0.5644)  2 H 2.74-2.95, 3 O 2.77-2.89, 1 Rb 2.95
H (0.7362, 0.8085, 0.7439)  1 O 1.04
H (0.9259, 0.1014, 0.0160)  1 O 0.98
H (0.0518, 0.2947, 0.9630)  1 O 0.97
H (0.0326, 0.2073, 0.1211)  1 O 1.00
H (0.4661, 0.2684, 0.8908)  1 H 0.75
H (0.2638, 0.1915, 0.2561)  1 O 1.04
H (0.7907, 0.0123, 0.0800)  1 O 1.00
H (0.0401, 0.4940, 0.2567)  1 Ce 2.30, 1 O 2.53
H (0.4535, 0.2535, 0.8396)  1 H 0.75
H (0.5035, 0.1698, 0.1998)  2 O 1.16-1.30
C (0.0477, 0.2060, 0.3454)  3 O 1.27-1.36
C (0.4441, 0.3216, 0.3217)  2 O 1.24-1.29
C (0.9523, 0.7940, 0.6546)  3 O 1.27-1.36
C (0.2427, 0.1955, 0.6856)  3 O 1.28-1.32
C (0.7573, 0.8045, 0.3144)  3 O 1.28-1.32
C (0.5559, 0.6784, 0.6783)  2 O 1.24-1.29
O (0.6896, 0.8914, 0.2230)  1 C 1.28
O (0.8085, 0.7628, 0.6936)  1 H 1.04
O (0.9976, 0.8500, 0.7041)  1 C 1.27
O (0.1915, 0.2372, 0.3064)  1 H 1.04
O (0.9134, 0.3825, 0.6358)  1 O 1.46
O (0.0024, 0.1500, 0.2959)  1 C 1.27
O (0.6325, 0.5726, 0.6876)  1 C 1.29
O (0.4179, 0.9870, 0.2979)  1 H 1.01
O (0.5349, 0.3456, 0.1981)  1 C 1.39, 1 O 1.47
O (0.5821, 0.0130, 0.7021)  1 H 1.01
O (0.0476, 0.2054, 0.0353)  2 H 0.97-1.00
O (0.8524, 0.8341, 0.3582)  1 C 1.32
O (0.3104, 0.1086, 0.7770)  1 C 1.28
O (0.4061, 0.1253, 0.1952)  1 H 1.16
O (0.2634, 0.3191, 0.6282)  1 C 1.30
O (0.5565, 0.7872, 0.5785)  1 C 1.24
O (0.0299, 0.7615, 0.5670)  1 C 1.28
O (0.1476, 0.1659, 0.6418)  1 C 1.32
O (0.0866, 0.6175, 0.3642)  1 O 1.46
O (0.8418, 0.0830, 0.9944)  2 H 0.98-1.00
O (0.4435, 0.2128, 0.4215)  1 C 1.24
O (0.1395, 0.5597, 0.4889)  1 O 1.46
O (0.8605, 0.4403, 0.5111)  1 O 1.46
O (0.6112, 0.2263, 0.1969)  1 H 1.30
O (0.7366, 0.6809, 0.3718)  1 C 1.30
O (0.1582, 0.9170, 0.0056)  2 H 0.98-1.00
O (0.4651, 0.6544, 0.8019)  1 C 1.39, 1 O 1.47
O (0.4342, 0.9891, 0.0229)  1 O 1.23
O (0.5658, 0.0109, 0.9771)  1 O 1.23
O (0.5939, 0.8747, 0.8048)  1 H 1.16
O (0.3888, 0.7737, 0.8031)  1 H 1.30
O (0.3675, 0.4274, 0.3124)  1 C 1.29
O (0.9701, 0.2385, 0.4330)  1 C 1.28
O (0.9524, 0.7946, 0.9647)  2 H 0.97-1.00

Summary:
Total moment (Bohr magnetons per cell): 6.00
Space group: P-1 (2)

ii takes first place; second place is 66 meV/atom up.

i.
This record from Materials Project describes a relaxed LiCeC4O10 crystal. The functional is PBE-GGA.

Unit cell a=7.6763 b=9.3963 c=13.5217 alpha=70.29 beta=90.00 gamma=90.00
Closest atoms and distances in Å follow each position.
Fractional coordinates of all 64 atoms:
Li (0.6991, 0.4021, 0.7294)  4 O 2.02-2.24
Li (0.6991, 0.0979, 0.2706)  4 O 2.02-2.24
Li (0.3009, 0.5979, 0.2706)  4 O 2.02-2.24
Li (0.3009, 0.9021, 0.7294)  4 O 2.02-2.24
Ce (0.7711, 0.7544, 0.7377)  1 O 2.08
Ce (0.7711, 0.7456, 0.2623)  1 O 2.08
Ce (0.2289, 0.2456, 0.2623)  1 O 2.08
Ce (0.2289, 0.2544, 0.7377)  1 O 2.08
C (0.7769, 0.6624, 0.5199)  2 O 1.26-1.27
C (0.7769, 0.8376, 0.4801)  2 O 1.26-1.27
C (0.2231, 0.3376, 0.4801)  2 O 1.26-1.27
C (0.2231, 0.1624, 0.5199)  2 O 1.26-1.27
C (0.1688, 0.6116, 0.7241)  2 O 1.26-1.27
C (0.1688, 0.8884, 0.2759)  2 O 1.26-1.27
C (0.8312, 0.3884, 0.2759)  2 O 1.26-1.27
C (0.8312, 0.1116, 0.7241)  2 O 1.26-1.27
C (0.3690, 0.6055, 0.7149)  2 O 1.26-1.27
C (0.3690, 0.8945, 0.2851)  2 O 1.26-1.27
C (0.6310, 0.3945, 0.2851)  2 O 1.26-1.27
C (0.6310, 0.1055, 0.7149)  2 O 1.26-1.27
C (0.5674, 0.7500, 0.0000)  2 O 1.17
C (0.4326, 0.2500, 0.0000)  2 O 1.17
C (0.9921, 0.7500, 0.0000)  2 O 1.18
C (0.0079, 0.2500, 0.0000)  2 O 1.18
O (0.7700, 0.5993, 0.6190)  1 C 1.27
O (0.7700, 0.9007, 0.3810)  1 C 1.27
O (0.2300, 0.4007, 0.3810)  1 C 1.27
O (0.2300, 0.0993, 0.6190)  1 C 1.27
O (0.7806, 0.5981, 0.4519)  1 C 1.26
O (0.7806, 0.9019, 0.5481)  1 C 1.26
O (0.2194, 0.4019, 0.5481)  1 C 1.26
O (0.2194, 0.0981, 0.4519)  1 C 1.26
O (0.0994, 0.7375, 0.7164)  1 C 1.27
O (0.0994, 0.7625, 0.2836)  1 C 1.27
O (0.9006, 0.2625, 0.2836)  1 C 1.27
O (0.9006, 0.2375, 0.7164)  1 C 1.27
O (0.0902, 0.4876, 0.7400)  1 C 1.26
O (0.0902, 0.0124, 0.2600)  1 C 1.26
O (0.9098, 0.5124, 0.2600)  1 C 1.26
O (0.9098, 0.9876, 0.7400)  1 C 1.26
O (0.4315, 0.4816, 0.7145)  1 C 1.26
O (0.4315, 0.0184, 0.2855)  1 C 1.26
O (0.5685, 0.5184, 0.2855)  1 C 1.26
O (0.5685, 0.9816, 0.7145)  1 C 1.26
O (0.4532, 0.7240, 0.7100)  1 C 1.27
O (0.4532, 0.7760, 0.2900)  1 C 1.27
O (0.5468, 0.2760, 0.2900)  1 C 1.27
O (0.5468, 0.2240, 0.7100)  1 C 1.27
O (0.5764, 0.7630, 0.9108)  1 C 1.17
O (0.5764, 0.7370, 0.0892)  1 C 1.17
O (0.4236, 0.2370, 0.0892)  1 C 1.17
O (0.4236, 0.2630, 0.9108)  1 C 1.17
O (0.9778, 0.7249, 0.9208)  1 C 1.18
O (0.9778, 0.7751, 0.0792)  1 C 1.18
O (0.0222, 0.2751, 0.0792)  1 C 1.18
O (0.0222, 0.2249, 0.9208)  1 C 1.18
O (0.7459, 0.5374, 0.8454)  1 O 1.36
O (0.7459, 0.9626, 0.1546)  1 O 1.36
O (0.2541, 0.4626, 0.1546)  1 O 1.36
O (0.2541, 0.0374, 0.8454)  1 O 1.36
O (0.2659, 0.5771, 0.0614)  1 O 1.36
O (0.2659, 0.9229, 0.9386)  1 O 1.36
O (0.7341, 0.4229, 0.9386)  1 O 1.36
O (0.7341, 0.0771, 0.0614)  1 O 1.36

Summary:
Total moment (Bohr magnetons per cell): 0.00
Space group: P2/c (13)

ii.
This record from Materials Project describes a relaxed LiCeC4O10 crystal. The functional is PBE-GGA.

Unit cell a=9.1638 b=8.0700 c=14.9047 alpha=90.00 beta=107.25 gamma=90.00
Closest atoms and distances in Å follow each position.
Fractional coordinates of all 64 atoms:
Li (0.4155, 0.6983, 0.2844)  3 O 2.04-2.12
Li (0.0845, 0.6983, 0.7156)  3 O 2.04-2.12
Li (0.5845, 0.3017, 0.7156)  3 O 2.04-2.12
Li (0.9155, 0.3017, 0.2844)  3 O 2.04-2.12
Ce (0.7624, 0.7647, 0.2860)  1 O 1.86
Ce (0.7376, 0.7647, 0.7140)  1 O 1.86
Ce (0.2376, 0.2353, 0.7140)  1 O 1.86
Ce (0.2624, 0.2353, 0.2860)  1 O 1.86
C (0.6604, 0.7693, 0.4830)  2 O 1.26-1.27
C (0.8396, 0.7693, 0.5170)  2 O 1.26-1.27
C (0.3396, 0.2307, 0.5170)  2 O 1.26-1.27
C (0.1604, 0.2307, 0.4830)  2 O 1.26-1.27
C (0.6117, 0.1704, 0.2755)  2 O 1.26-1.27
C (0.8883, 0.1704, 0.7245)  2 O 1.26-1.27
C (0.3883, 0.8296, 0.7245)  2 O 1.26-1.27
C (0.1117, 0.8296, 0.2755)  2 O 1.26-1.27
C (0.6081, 0.3627, 0.2845)  2 O 1.26-1.27
C (0.8919, 0.3627, 0.7155)  2 O 1.26-1.27
C (0.3919, 0.6373, 0.7155)  2 O 1.26-1.27
C (0.1081, 0.6373, 0.2845)  2 O 1.26-1.27
C (0.7500, 0.5976, 0.0000)  2 O 1.17
C (0.2500, 0.4024, 0.0000)  2 O 1.17
C (0.7500, 0.9533, 0.0000)  2 O 1.18
C (0.2500, 0.0467, 0.0000)  2 O 1.18
O (0.5985, 0.7616, 0.3950)  1 C 1.27
O (0.9015, 0.7616, 0.6050)  1 C 1.27
O (0.4015, 0.2384, 0.6050)  1 C 1.27
O (0.0985, 0.2384, 0.3950)  1 C 1.27
O (0.5920, 0.7743, 0.5451)  1 C 1.26
O (0.9080, 0.7743, 0.4549)  1 C 1.26
O (0.4080, 0.2257, 0.4549)  1 C 1.26
O (0.0920, 0.2257, 0.5451)  1 C 1.26
O (0.7378, 0.1007, 0.2821)  1 C 1.26
O (0.7622, 0.1007, 0.7179)  1 C 1.26
O (0.2622, 0.8993, 0.7179)  1 C 1.26
O (0.2378, 0.8993, 0.2821)  1 C 1.26
O (0.4839, 0.0990, 0.2639)  1 C 1.27
O (0.0161, 0.0990, 0.7361)  1 C 1.27
O (0.5161, 0.9010, 0.7361)  1 C 1.27
O (0.9839, 0.9010, 0.2639)  1 C 1.27
O (0.4817, 0.4244, 0.2860)  1 C 1.27
O (0.0183, 0.4244, 0.7140)  1 C 1.27
O (0.5183, 0.5756, 0.7140)  1 C 1.27
O (0.9817, 0.5756, 0.2860)  1 C 1.27
O (0.7300, 0.4416, 0.2913)  1 C 1.26
O (0.7700, 0.4416, 0.7087)  1 C 1.26
O (0.2700, 0.5584, 0.7087)  1 C 1.26
O (0.2300, 0.5584, 0.2913)  1 C 1.26
O (0.7790, 0.5978, 0.0822)  1 C 1.17
O (0.7210, 0.5978, 0.9178)  1 C 1.17
O (0.2210, 0.4022, 0.9178)  1 C 1.17
O (0.2790, 0.4022, 0.0822)  1 C 1.17
O (0.7285, 0.9526, 0.0739)  1 C 1.18
O (0.7715, 0.9526, 0.9261)  1 C 1.18
O (0.2715, 0.0474, 0.9261)  1 C 1.18
O (0.2285, 0.0474, 0.0739)  1 C 1.18
O (0.5662, 0.7443, 0.2031)  1 Ce 1.86
O (0.9338, 0.7443, 0.7969)  1 Ce 1.86
O (0.4338, 0.2557, 0.7969)  1 Ce 1.86
O (0.0662, 0.2557, 0.2031)  1 Ce 1.86
O (0.6819, 0.2758, 0.9986)  1 O 1.24
O (0.8181, 0.2758, 0.0014)  1 O 1.24
O (0.3181, 0.7242, 0.0014)  1 O 1.24
O (0.1819, 0.7242, 0.9986)  1 O 1.24

Summary:
Total moment (Bohr magnetons per cell): 4.00
Space group: P2/c (13)

ii takes first place; second place is 48 meV/atom up.

i.
This record from Materials Project describes a relaxed CeMg14C crystal. The functional is PBE-GGA.

Unit cell a=6.2775 b=6.2775 c=10.0832 alpha=90.00 beta=90.00 gamma=120.00
Closest atoms and distances in Å follow each position.
Fractional coordinates of all 16 atoms:
Ce (0.1667, 0.3333, 0.1250)  12 Mg 3.14-3.27
Mg (0.1843, 0.8422, 0.1250)  6 Mg 2.97-3.31, 2 Ce 3.14
Mg (0.1527, 0.8264, 0.6250)  10 Mg 2.95-3.27, 2 C 3.14
Mg (0.6578, 0.3157, 0.1250)  6 Mg 2.97-3.31, 2 Ce 3.14
Mg (0.6736, 0.3473, 0.6250)  10 Mg 2.95-3.27, 2 C 3.14
Mg (0.6578, 0.8422, 0.1250)  6 Mg 2.97-3.31, 2 Ce 3.14
Mg (0.6736, 0.8264, 0.6250)  10 Mg 2.95-3.27, 2 C 3.14
Mg (0.3242, 0.1758, 0.4016)  1 C 2.83, 6 Mg 2.95-3.17
Mg (0.3242, 0.1758, 0.8484)  1 C 2.83, 6 Mg 2.95-3.17
Mg (0.3242, 0.6484, 0.4016)  1 C 2.83, 6 Mg 2.95-3.17
Mg (0.3242, 0.6484, 0.8484)  1 C 2.83, 6 Mg 2.95-3.17
Mg (0.8516, 0.1758, 0.4016)  1 C 2.83, 6 Mg 2.95-3.17
Mg (0.8516, 0.1758, 0.8484)  1 C 2.83, 6 Mg 2.95-3.17
Mg (0.8333, 0.6667, 0.3601)  12 Mg 3.04-3.19
Mg (0.8333, 0.6667, 0.8899)  12 Mg 3.04-3.19
C (0.1667, 0.3333, 0.6250)  12 Mg 2.83-3.14

Summary:
Total moment (Bohr magnetons per cell): 0.51
Space group: P-6m2 (187)

ii.
This record from Materials Project describes a relaxed CeMg14C crystal. The functional is PBE-GGA.

Unit cell a=6.6580 b=6.6580 c=10.3702 alpha=90.00 beta=90.00 gamma=127.25
Closest atoms and distances in Å follow each position.
Fractional coordinates of all 16 atoms:
Ce (0.8035, 0.1965, 0.5000)  2 C 3.08, 10 Mg 3.16-3.43
Mg (0.8271, 0.1729, 0.0000)  10 Mg 2.96-3.31
Mg (0.3182, 0.6818, 0.0000)  8 Mg 2.96-3.23
Mg (0.3064, 0.2267, 0.5000)  1 C 2.39
Mg (0.3231, 0.1705, 0.0000)  7 Mg 2.92-3.23
Mg (0.7733, 0.6936, 0.5000)  1 C 2.39
Mg (0.8295, 0.6769, 0.0000)  7 Mg 2.92-3.23
Mg (0.1691, 0.3267, 0.2456)  8 Mg 2.93-3.22, 1 C 3.08
Mg (0.1691, 0.3267, 0.7544)  8 Mg 2.93-3.22, 1 C 3.08
Mg (0.6733, 0.8309, 0.2456)  8 Mg 2.93-3.22, 1 C 3.08
Mg (0.6733, 0.8309, 0.7544)  8 Mg 2.93-3.22, 1 C 3.08
Mg (0.6608, 0.3392, 0.2431)  11 Mg 3.10-3.43, 1 Ce 3.16
Mg (0.6608, 0.3392, 0.7569)  11 Mg 3.10-3.43, 1 Ce 3.16
Mg (0.2180, 0.7820, 0.3514)  1 C 2.44
Mg (0.2180, 0.7820, 0.6486)  1 C 2.44
C (0.3766, 0.6234, 0.5000)  4 Mg 2.39-2.44

Summary:
Total moment (Bohr magnetons per cell): 1.20
Space group: Amm2 (38)

ii takes first place; second place is 121 meV/atom up.